Entry 1:
Entry from the Materials Project database: an optimized crystal structure of NbTe4 (GGA-PBE).

Lattice parameters (Å, degrees): 13.251 13.251 20.982 90.00 90.00 90.00
Fractional coordinates of all 120 atoms:
1 Nb 0.250 0.250 0.070
2 Nb 0.250 0.250 0.264
3 Nb 0.250 0.250 0.418
4 Nb 0.250 0.250 0.570
5 Nb 0.250 0.250 0.764
6 Nb 0.250 0.250 0.918
7 Nb 0.250 0.750 0.097
8 Nb 0.250 0.750 0.250
9 Nb 0.250 0.750 0.403
10 Nb 0.250 0.750 0.597
11 Nb 0.250 0.750 0.750
12 Nb 0.250 0.750 0.903
13 Nb 0.750 0.250 0.097
14 Nb 0.750 0.250 0.250
15 Nb 0.750 0.250 0.403
16 Nb 0.750 0.250 0.597
17 Nb 0.750 0.250 0.750
18 Nb 0.750 0.250 0.903
19 Nb 0.750 0.750 0.082
20 Nb 0.750 0.750 0.236
21 Nb 0.750 0.750 0.430
22 Nb 0.750 0.750 0.582
23 Nb 0.750 0.750 0.736
24 Nb 0.750 0.750 0.930
25 Te 0.083 0.182 0.336
26 Te 0.083 0.318 0.836
27 Te 0.086 0.674 0.670
28 Te 0.086 0.677 0.331
29 Te 0.086 0.823 0.831
30 Te 0.086 0.826 0.170
31 Te 0.087 0.172 0.997
32 Te 0.087 0.328 0.497
33 Te 0.095 0.691 0.000
34 Te 0.095 0.809 0.500
35 Te 0.097 0.188 0.668
36 Te 0.097 0.312 0.168
37 Te 0.172 0.087 0.497
38 Te 0.172 0.413 0.997
39 Te 0.174 0.586 0.830
40 Te 0.174 0.914 0.330
41 Te 0.177 0.586 0.169
42 Te 0.177 0.914 0.669
43 Te 0.182 0.083 0.836
44 Te 0.182 0.417 0.336
45 Te 0.188 0.097 0.168
46 Te 0.188 0.403 0.668
47 Te 0.191 0.595 0.500
48 Te 0.191 0.905 0.000
49 Te 0.309 0.595 0.000
50 Te 0.309 0.905 0.500
51 Te 0.312 0.097 0.668
52 Te 0.312 0.403 0.168
53 Te 0.318 0.083 0.336
54 Te 0.318 0.417 0.836
55 Te 0.323 0.586 0.669
56 Te 0.323 0.914 0.169
57 Te 0.326 0.586 0.330
58 Te 0.326 0.914 0.830
59 Te 0.328 0.087 0.997
60 Te 0.328 0.413 0.497
61 Te 0.403 0.188 0.168
62 Te 0.403 0.312 0.668
63 Te 0.405 0.691 0.500
64 Te 0.405 0.809 0.000
65 Te 0.413 0.172 0.497
66 Te 0.413 0.328 0.997
67 Te 0.414 0.674 0.170
68 Te 0.414 0.677 0.831
69 Te 0.414 0.823 0.331
70 Te 0.414 0.826 0.670
71 Te 0.417 0.182 0.836
72 Te 0.417 0.318 0.336
73 Te 0.583 0.682 0.664
74 Te 0.583 0.818 0.164
75 Te 0.586 0.174 0.330
76 Te 0.586 0.177 0.669
77 Te 0.586 0.323 0.169
78 Te 0.586 0.326 0.830
79 Te 0.587 0.672 0.003
80 Te 0.587 0.828 0.503
81 Te 0.595 0.191 0.000
82 Te 0.595 0.309 0.500
83 Te 0.597 0.688 0.332
84 Te 0.597 0.812 0.832
85 Te 0.672 0.587 0.503
86 Te 0.672 0.913 0.003
87 Te 0.674 0.086 0.170
88 Te 0.674 0.414 0.670
89 Te 0.677 0.086 0.831
90 Te 0.677 0.414 0.331
91 Te 0.682 0.583 0.164
92 Te 0.682 0.917 0.664
93 Te 0.688 0.597 0.832
94 Te 0.688 0.903 0.332
95 Te 0.691 0.095 0.500
96 Te 0.691 0.405 0.000
97 Te 0.809 0.095 0.000
98 Te 0.809 0.405 0.500
99 Te 0.812 0.597 0.332
100 Te 0.812 0.903 0.832
101 Te 0.818 0.583 0.664
102 Te 0.818 0.917 0.164
103 Te 0.823 0.086 0.331
104 Te 0.823 0.414 0.831
105 Te 0.826 0.086 0.670
106 Te 0.826 0.414 0.170
107 Te 0.828 0.587 0.003
108 Te 0.828 0.913 0.503
109 Te 0.903 0.688 0.832
110 Te 0.903 0.812 0.332
111 Te 0.905 0.191 0.500
112 Te 0.905 0.309 0.000
113 Te 0.913 0.672 0.503
114 Te 0.913 0.828 0.003
115 Te 0.914 0.174 0.830
116 Te 0.914 0.177 0.169
117 Te 0.914 0.323 0.669
118 Te 0.914 0.326 0.330
119 Te 0.917 0.682 0.164
120 Te 0.917 0.818 0.664

Summary:
magnetic moment	0.15	μB per cell
ΔH_f (0 K)	-0.672	eV/atom

Entry 2:
Entry from the Materials Project database: an optimized crystal structure of Cu3S2 (GGA-PBE).

Lattice parameters (Å, degrees): 3.473 3.473 5.934 90.00 90.00 90.00
Fractional coordinates of all 5 atoms:
1 Cu 0.000 0.000 0.000
2 Cu 0.000 0.500 0.330
3 Cu 0.500 0.000 0.670
4 S 0.000 0.500 0.732
5 S 0.500 0.000 0.268

Summary:
magnetic moment	0.00	μB per cell
ΔH_f (0 K)	-0.272	eV/atom